SrCaEuMnO6: relaxed, GGA+U.

Formation energy   -2.539 eV/atom

a b c (Å): 5.766 5.766 5.766
angles (deg): 60.00 60.00 60.00
Fractional positions:
O1 0.731 0.269 0.731
O2 0.269 0.269 0.731
O3 0.269 0.731 0.269
O4 0.731 0.269 0.269
O5 0.731 0.731 0.269
O6 0.269 0.731 0.731
Eu1 0.750 0.750 0.750
Mn1 0.500 0.500 0.500
Ca1 0.000 0.000 0.000
Sr1 0.250 0.250 0.250



CoSO5: relaxed, GGA+U.

Formation energy   -1.347 eV/atom

a b c (Å): 5.240 5.240 7.340
angles (deg): 108.82 108.82 97.56
Fractional positions:
Co1 0.500 0.000 0.000
Co2 0.000 0.500 0.500
O1 0.779 0.815 0.134
O2 0.227 0.828 0.100
O3 0.172 0.773 0.400
O4 0.221 0.185 0.866
O5 0.330 0.670 0.750
O6 0.828 0.227 0.600
O7 0.773 0.172 0.900
O8 0.670 0.330 0.250
O9 0.815 0.779 0.634
O10 0.185 0.221 0.366
S1 0.089 0.911 0.250
S2 0.911 0.089 0.750



Sr3MnFeO7: relaxed, GGA+U.

Formation energy   -2.495 eV/atom
Energy above the most stable polymorph in this dataset   0 meV/atom

a b c (Å): 3.897 3.898 20.293
angles (deg): 90.00 90.00 90.00
Fractional positions:
Sr1 0.000 0.000 0.683
Sr2 0.500 0.500 0.000
Sr3 0.000 0.000 0.500
Sr4 0.500 0.500 0.183
Sr5 0.000 0.000 0.317
Sr6 0.500 0.500 0.817
O1 0.000 0.500 0.596
O2 0.000 0.000 0.806
O3 0.500 0.500 0.306
O4 0.000 0.500 0.904
O5 0.000 0.500 0.404
O6 0.000 0.000 0.193
O7 0.500 0.500 0.500
O8 0.500 0.000 0.096
O9 0.000 0.500 0.096
O10 0.500 0.000 0.596
O11 0.500 0.500 0.693
O12 0.500 0.000 0.904
O13 0.500 0.000 0.404
O14 0.000 0.000 0.000
Mn1 0.500 0.500 0.598
Mn2 0.000 0.000 0.098
Fe1 0.000 0.000 0.903
Fe2 0.500 0.500 0.403



ZnCu3Mo4O12: relaxed, GGA+U.

Formation energy   -1.549 eV/atom

a b c (Å): 6.632 6.632 6.632
angles (deg): 109.47 109.47 109.47
Fractional positions:
O1 0.694 0.170 0.865
O2 0.476 0.306 0.170
O3 0.170 0.865 0.694
O4 0.694 0.830 0.524
O5 0.135 0.306 0.830
O6 0.306 0.830 0.135
O7 0.524 0.694 0.830
O8 0.830 0.524 0.694
O9 0.170 0.476 0.306
O10 0.830 0.135 0.306
O11 0.306 0.170 0.476
O12 0.865 0.694 0.170
Cu1 0.500 0.000 0.500
Cu2 0.500 0.500 0.000
Cu3 0.000 0.500 0.500
Mo1 0.000 0.500 0.000
Mo2 0.500 0.000 0.000
Mo3 0.000 0.000 0.500
Mo4 0.500 0.500 0.500
Zn1 0.000 0.000 0.000



Li4V3O8: relaxed, GGA+U.

Formation energy   -2.443 eV/atom
Energy above the most stable polymorph in this dataset   12 meV/atom

a b c (Å): 5.855 5.854 10.831
angles (deg): 74.03 105.86 120.03
Fractional positions:
O1 0.365 0.096 0.147
O2 0.623 0.865 0.353
O3 0.882 0.119 0.646
O4 0.382 0.619 0.146
O5 0.865 0.596 0.647
O6 0.636 0.904 0.853
O7 0.134 0.403 0.353
O8 0.595 0.376 0.353
O9 0.877 0.635 0.147
O10 0.118 0.881 0.354
O11 0.377 0.136 0.647
O12 0.405 0.624 0.647
O13 0.905 0.124 0.147
O14 0.123 0.365 0.853
O15 0.618 0.381 0.854
O16 0.095 0.876 0.853
Li1 0.821 0.177 0.463
Li2 0.500 0.500 0.500
Li3 0.000 0.000 0.000
Li4 0.750 0.250 0.250
Li5 0.250 0.750 0.750
Li6 0.322 0.677 0.963
Li7 0.679 0.323 0.037
Li8 0.179 0.823 0.537
V1 0.250 0.250 0.250
V2 0.750 0.750 0.750
V3 0.750 0.250 0.750
V4 0.250 0.750 0.250
V5 0.750 0.750 0.250
V6 0.250 0.250 0.750



KEuMn4O12: relaxed, GGA+U.

Formation energy   -1.046 eV/atom

a b c (Å): 5.224 5.224 7.355
angles (deg): 90.00 90.00 90.00
Fractional positions:
O1 0.281 0.281 0.227
O2 0.228 0.772 0.746
O3 0.027 0.474 0.500
O4 0.972 0.524 0.000
O5 0.281 0.281 0.773
O6 0.722 0.722 0.722
O7 0.474 0.027 0.500
O8 0.772 0.228 0.746
O9 0.524 0.972 0.000
O10 0.772 0.228 0.254
O11 0.722 0.722 0.278
O12 0.228 0.772 0.254
Mn1 0.500 0.999 0.755
Mn2 0.999 0.500 0.245
Mn3 0.999 0.500 0.755
Mn4 0.500 0.999 0.245
K1 0.006 0.006 0.000
Eu1 0.495 0.495 0.500



Mo2P3O12: relaxed, GGA+U.

Formation energy   -2.446 eV/atom
Energy above the most stable polymorph in this dataset   0 meV/atom

a b c (Å): 8.812 8.978 8.812
angles (deg): 90.03 59.61 119.05
Fractional positions:
O1 0.213 0.080 0.279
O2 0.602 0.583 0.769
O3 0.018 0.732 0.061
O4 0.356 0.770 0.426
O5 0.783 0.419 0.007
O6 0.350 0.580 0.636
O7 0.574 0.081 0.136
O8 0.341 0.266 0.709
O9 0.413 0.919 0.869
O10 0.967 0.259 0.953
O11 0.784 0.920 0.730
O12 0.997 0.787 0.574
O13 0.649 0.232 0.564
O14 0.025 0.234 0.425
O15 0.212 0.581 0.006
O16 0.419 0.420 0.211
O17 0.648 0.917 0.480
O18 0.207 0.768 0.214
O19 0.805 0.730 0.914
O20 0.369 0.080 0.501
O21 0.638 0.713 0.291
O22 0.204 0.268 0.083
O23 0.788 0.241 0.792
O24 0.642 0.420 0.366
P1 0.214 0.750 0.036
P2 0.216 0.251 0.250
P3 0.500 0.249 0.535
P4 0.786 0.250 0.964
P5 0.785 0.752 0.752
P6 0.496 0.748 0.466
Mo1 0.716 0.573 0.142
Mo2 0.716 0.075 0.641
Mo3 0.285 0.425 0.858
Mo4 0.285 0.927 0.356



Li4Fe3Co3O12: relaxed, GGA+U.

Formation energy   -1.601 eV/atom

a b c (Å): 5.727 5.903 6.610
angles (deg): 105.62 102.72 88.98
Fractional positions:
O1 0.254 0.760 0.971
O2 0.417 0.891 0.689
O3 0.082 0.553 0.347
O4 0.590 0.560 0.353
O5 0.746 0.240 0.029
O6 0.919 0.889 0.672
O7 0.583 0.109 0.311
O8 0.081 0.111 0.328
O9 0.260 0.241 0.018
O10 0.410 0.440 0.647
O11 0.918 0.447 0.653
O12 0.740 0.759 0.982
Co1 0.500 0.000 0.000
Co2 0.833 0.333 0.338
Co3 0.167 0.667 0.662
Li1 0.179 0.152 0.652
Li2 0.000 0.500 0.000
Li3 0.500 0.500 0.000
Li4 0.821 0.848 0.348
Fe1 0.000 0.000 0.000
Fe2 0.336 0.332 0.336
Fe3 0.664 0.668 0.664



Na2MnPO5F2: relaxed, GGA+U.

Formation energy   -2.012 eV/atom

a b c (Å): 5.761 6.708 8.051
angles (deg): 90.00 90.00 108.42
Fractional positions:
O1 0.201 0.993 0.250
O2 0.473 0.697 0.250
O3 0.799 0.007 0.750
O4 0.589 0.212 0.092
O5 0.620 0.897 0.250
O6 0.411 0.788 0.908
O7 0.380 0.103 0.750
O8 0.527 0.303 0.750
O9 0.589 0.212 0.408
O10 0.411 0.788 0.592
Na1 0.500 0.500 0.500
Na2 0.500 0.500 0.000
Na3 0.006 0.544 0.250
Na4 0.994 0.456 0.750
F1 0.106 0.313 0.498
F2 0.894 0.687 0.502
F3 0.106 0.313 0.002
F4 0.894 0.687 0.998
Mn1 0.000 0.000 0.000
Mn2 0.000 0.000 0.500
P1 0.518 0.899 0.750
P2 0.482 0.101 0.250



ZnCoO3: relaxed, GGA+U.

Formation energy   -1.305 eV/atom

a b c (Å): 5.391 5.391 5.391
angles (deg): 54.53 54.53 54.53
Fractional positions:
O1 0.212 0.956 0.562
O2 0.438 0.788 0.044
O3 0.044 0.438 0.788
O4 0.562 0.212 0.956
O5 0.788 0.044 0.438
O6 0.956 0.562 0.212
Co1 0.161 0.161 0.161
Co2 0.839 0.839 0.839
Zn1 0.366 0.366 0.366
Zn2 0.634 0.634 0.634



Li9Mn2Co5O16: relaxed, GGA+U.

Formation energy   -1.824 eV/atom
Energy above the most stable polymorph in this dataset   41 meV/atom

a b c (Å): 5.072 5.896 10.010
angles (deg): 91.76 99.42 105.09
Fractional positions:
O1 0.786 0.693 0.571
O2 0.217 0.286 0.948
O3 0.782 0.929 0.318
O4 0.231 0.808 0.424
O5 0.763 0.195 0.562
O6 0.213 0.574 0.176
O7 0.774 0.425 0.825
O8 0.780 0.701 0.064
O9 0.230 0.076 0.682
O10 0.218 0.032 0.183
O11 0.779 0.480 0.307
O12 0.236 0.577 0.691
O13 0.761 0.170 0.060
O14 0.774 0.925 0.821
O15 0.221 0.812 0.931
O16 0.236 0.322 0.441
Li1 0.500 0.120 0.877
Li2 0.505 0.880 0.129
Li3 0.498 0.624 0.373
Li4 0.499 0.873 0.623
Li5 0.507 0.364 0.131
Li6 0.998 0.253 0.250
Li7 0.501 0.377 0.621
Li8 0.488 0.125 0.377
Li9 0.502 0.631 0.871
Co1 0.000 0.752 0.248
Co2 0.000 0.008 0.495
Co3 0.993 0.490 0.005
Co4 0.008 0.501 0.493
Co5 0.005 0.752 0.751
Mn1 0.995 0.995 0.004
Mn2 0.000 0.253 0.749



KCaLaFeO6: relaxed, GGA+U.

Formation energy   -2.197 eV/atom

a b c (Å): 5.751 5.751 5.751
angles (deg): 60.00 60.00 60.00
Fractional positions:
O1 0.728 0.272 0.272
O2 0.272 0.728 0.272
O3 0.728 0.272 0.728
O4 0.728 0.728 0.272
O5 0.272 0.728 0.728
O6 0.272 0.272 0.728
Fe1 0.500 0.500 0.500
La1 0.750 0.750 0.750
K1 0.250 0.250 0.250
Ca1 0.000 0.000 0.000



Li7Mn14O32: relaxed, GGA+U.

Formation energy   -1.936 eV/atom

a b c (Å): 19.318 19.318 19.318
angles (deg): 17.37 17.37 17.37
Fractional positions:
O1 0.433 0.433 0.959
O2 0.933 0.933 0.460
O3 0.559 0.559 0.559
O4 0.440 0.440 0.440
O5 0.309 0.309 0.309
O6 0.567 0.567 0.040
O7 0.331 0.773 0.331
O8 0.669 0.669 0.227
O9 0.167 0.732 0.167
O10 0.940 0.940 0.940
O11 0.773 0.331 0.331
O12 0.167 0.167 0.732
O13 0.227 0.669 0.669
O14 0.691 0.691 0.691
O15 0.040 0.567 0.567
O16 0.460 0.933 0.933
O17 0.540 0.067 0.067
O18 0.669 0.227 0.669
O19 0.732 0.167 0.167
O20 0.433 0.959 0.433
O21 0.810 0.810 0.810
O22 0.190 0.190 0.190
O23 0.567 0.040 0.567
O24 0.933 0.460 0.933
O25 0.959 0.433 0.433
O26 0.831 0.273 0.831
O27 0.831 0.831 0.273
O28 0.273 0.831 0.831
O29 0.331 0.331 0.773
O30 0.067 0.540 0.067
O31 0.060 0.060 0.060
O32 0.067 0.067 0.540
Mn1 0.372 0.372 0.882
Mn2 0.001 0.001 0.001
Mn3 0.118 0.628 0.628
Mn4 0.372 0.882 0.372
Mn5 0.618 0.128 0.128
Mn6 0.882 0.372 0.372
Mn7 0.500 0.500 0.500
Mn8 0.628 0.628 0.118
Mn9 0.873 0.380 0.873
Mn10 0.380 0.873 0.873
Mn11 0.128 0.618 0.128
Mn12 0.628 0.118 0.628
Mn13 0.128 0.128 0.618
Mn14 0.873 0.873 0.380
Li1 0.906 0.906 0.906
Li2 0.845 0.845 0.845
Li3 0.404 0.404 0.404
Li4 0.595 0.595 0.595
Li5 0.655 0.655 0.655
Li6 0.155 0.155 0.155
Li7 0.094 0.094 0.094



Li2MnP2O7: relaxed, GGA+U.

Formation energy   -2.634 eV/atom
Energy above the most stable polymorph in this dataset   37 meV/atom

a b c (Å): 5.126 5.157 13.344
angles (deg): 80.07 90.04 119.76
Fractional positions:
Mn1 0.500 0.500 0.500
Mn2 0.000 0.500 0.000
O1 0.336 0.817 0.103
O2 0.950 0.848 0.424
O3 0.481 0.818 0.603
O4 0.051 0.153 0.576
O5 0.663 0.182 0.897
O6 0.898 0.846 0.924
O7 0.803 0.000 0.750
O8 0.730 0.377 0.619
O9 0.102 0.153 0.076
O10 0.520 0.183 0.397
O11 0.271 0.624 0.381
O12 0.353 0.623 0.881
O13 0.647 0.376 0.119
O14 0.197 0.000 0.250
Li1 0.305 0.217 0.905
Li2 0.912 0.218 0.405
Li3 0.695 0.782 0.095
Li4 0.088 0.783 0.595
P1 0.758 0.090 0.632
P2 0.243 0.910 0.368
P3 0.667 0.909 0.868
P4 0.332 0.090 0.132